(1)
48
Lattice="13.3465 0.0000 0.0000 0.0000 5.0489 0.0000 0.0000 4.6959 8.0700" Properties=species:S:1:pos:R:3 comment="PBE with a Hubbard U Li2NiP2O7, relaxed" crystal_system=monoclinic polymorph_energy_mev_per_atom=21 total_magnetization_mub_per_atom=0.17 formation_enthalpy_0k_ev_per_fu=-29.8 final_energy_ev_per_atom=-6.46 pbc="T T T"
O 10.5157 4.7416 4.4354
O 0.9926 5.6988 6.2943
O 3.0843 2.6074 2.7527
O 10.7752 1.6837 2.8669
O 5.8504 5.8519 7.4532
Li 11.9046 0.8101 1.0752
O 9.7576 4.7895 1.2823
O 12.3539 4.0460 1.7757
O 6.2023 4.2976 5.4866
P 10.9542 6.2111 4.3029
O 7.4961 3.8930 0.6168
Li 9.3317 6.0586 6.7396
O 8.1191 3.1029 2.9827
P 7.0621 3.9466 2.2196
Ni 8.8489 1.3929 2.0925
Ni 2.1756 6.0040 1.9425
P 9.0655 3.8631 0.2679
O 0.4709 1.9496 1.4516
P 4.2810 5.8817 7.8022
P 12.9577 6.2946 6.2546
Li 2.6584 6.0341 5.3654
O 5.2275 6.6420 5.0874
O 4.1020 5.7132 1.1681
Li 1.4419 8.9348 6.9948
O 7.1442 5.4473 2.5835
O 3.8424 7.3511 7.6697
Ni 11.1709 3.7408 6.1275
Li 4.0149 3.6862 1.3304
P 2.3923 3.5338 3.7672
Li 5.2314 6.5868 2.9598
O 0.8229 3.5039 3.4182
O 12.8756 7.7952 6.6185
Li 10.6881 3.7107 2.7046
Ni 4.4977 8.3520 5.9776
O 5.6807 3.3509 2.2593
O 2.5713 8.0611 5.2031
P 6.2845 5.7982 5.8505
O 7.6658 6.3940 5.8107
O 1.4458 4.2940 1.0523
O 12.5236 6.2409 4.6518
Li 8.1151 3.1580 5.1102
O 9.5041 2.3937 0.4003
P 0.3888 3.4503 1.8155
O 9.2445 4.0316 6.9019
O 3.5889 4.9553 6.7877
O 2.8308 5.0032 3.6347
O 10.2622 7.1375 5.3174
O 11.9007 5.4508 7.0177



(2)
84
Lattice="7.6932 0.0000 0.0000 0.0000 8.4875 0.0000 0.0000 8.1171 15.2497" Properties=species:S:1:pos:R:3 comment="PBE with a Hubbard U LiNiPO4, relaxed" crystal_system=monoclinic polymorph_energy_mev_per_atom=80 total_magnetization_mub_per_atom=0.29 formation_enthalpy_0k_ev_per_fu=-16.0 final_energy_ev_per_atom=-6.23 pbc="T T T"
Ni 2.5222 11.7273 11.3341
O 2.8616 9.0603 12.7643
Ni 6.3688 8.9359 11.5406
Li 4.8848 6.1567 11.3401
P 5.5686 11.7212 11.1511
Ni 5.1292 9.1388 1.2376
O 1.7321 9.0109 7.8050
P 2.0056 8.8356 6.2953
O 2.1869 12.0345 8.1367
P 5.6876 7.7690 8.9545
Li 1.0381 14.5064 11.5346
Li 7.4475 6.4547 6.3168
O 1.0087 1.9332 0.7658
O 0.4321 5.3987 8.2075
Ni 6.3873 12.8409 13.7502
P 1.7967 4.9123 8.7733
Ni 2.5641 7.4657 14.0121
O 2.0858 5.9964 3.0133
O 1.7529 14.3046 13.2753
Ni 5.1526 8.7824 6.1253
Li 6.6551 2.0982 3.7152
P 2.0499 0.8538 1.1484
O 4.8553 10.6129 6.8590
O 4.3701 8.5490 9.2164
O 5.9403 2.2999 1.9744
O 3.4146 1.3401 0.5827
Li 3.6009 6.0913 1.3080
Li 7.5651 9.9509 14.2877
O 7.3040 7.6381 2.7324
P 5.9713 7.6626 3.5263
O 2.0937 10.2461 5.6505
Li 4.0924 10.5133 13.9417
O 5.9324 6.5496 4.6116
Ni 2.5407 7.8222 9.1244
O 1.7609 10.0550 10.6382
O 4.8316 7.5442 2.4855
O 0.9850 5.0018 5.1394
O 1.6852 13.2032 10.3095
Ni 6.4107 13.1974 8.8625
O 2.8379 5.9917 8.3907
Li 3.7185 10.7122 8.5869
Li 3.9748 5.8924 6.6628
P 5.8965 11.6922 6.4765
O 5.9612 7.5936 7.4448
O 1.9971 3.5322 3.3354
O 2.1146 4.9524 0.1801
O 7.1697 4.4905 1.5915
O 2.9893 12.0948 13.2396
O 5.5996 6.3585 9.5993
O 0.3893 8.9665 12.5174
O 5.6961 13.0723 11.9144
O 4.2359 11.6967 10.3572
P 1.8410 12.8942 13.9202
Li 0.2458 10.1498 8.9329
O 4.7039 4.5097 2.0101
Ni 5.1710 4.8773 3.9157
P 5.8523 3.7104 1.3296
O 5.8437 9.0138 4.2895
O 3.3231 8.0556 6.0333
O 3.4573 4.9079 4.8925
O 5.5318 7.4599 12.5651
O 1.6597 7.9759 0.5118
O 6.0335 8.6287 14.7380
Ni 1.3059 3.7637 1.4996
O 0.8573 8.0363 5.6148
O 7.2612 11.2059 7.0422
O 6.0080 3.4013 4.9402
O 2.1614 9.1447 2.6847
O 0.5235 12.1141 13.6582
O 6.6846 14.6714 14.4839
O 5.5064 4.5701 7.1131
P 5.6433 15.7508 14.1014
Li 2.8085 10.4478 3.9097
P 2.1247 4.8834 4.0986
O 6.7082 11.6028 10.1104
O 6.8359 8.5683 9.6350
Ni 1.3244 7.6687 3.7092
O 1.8495 7.5908 10.9603
O 5.5787 11.6522 15.0696
P 1.7219 8.9420 11.7235
O 4.2787 15.2644 14.6671
O 5.6075 10.6081 12.2364
Ni 1.2825 3.4072 6.3873
Li 0.1282 6.6536 0.9620



(3)
11
Lattice="4.1158 3.3340 0.0000 -4.1158 3.3340 0.0000 0.0000 1.0735 4.4545" Properties=species:S:1:pos:R:3 comment="PBE with a Hubbard U LiNiP2O7, relaxed" crystal_system=monoclinic polymorph_energy_mev_per_atom=15 total_magnetization_mub_per_atom=0.27 formation_enthalpy_0k_ev_per_fu=-25.1 final_energy_ev_per_atom=-6.45 pbc="T T T"
Li -0.0968 3.3340 0.0000
O 1.1953 5.8434 3.5112
O -0.4472 5.7102 1.1056
O -1.6384 4.9527 3.1854
P 2.3434 2.3659 1.8679
O -1.6384 2.7888 1.2691
O 1.1953 1.8981 0.9434
O -0.4472 2.0313 3.3489
P 2.3434 5.3756 2.5867
O 1.8738 3.8708 2.2273
Ni -3.1400 3.3340 0.0000



(4)
28
Lattice="-2.2430 8.6940 -4.7955 -0.5851 -2.3787 -4.0389 -5.7251 -0.7765 1.2701" Properties=species:S:1:pos:R:3 comment="PBE with a Hubbard U LiNiPO4, relaxed" crystal_system=monoclinic polymorph_energy_mev_per_atom=50 total_magnetization_mub_per_atom=0.14 formation_enthalpy_0k_ev_per_fu=-16.2 final_energy_ev_per_atom=-6.26 pbc="T T T"
Ni -4.6186 2.7717 -5.1824
O -6.4966 6.5766 -5.8852
Li -5.4323 0.2492 -3.5116
O -4.1110 6.8656 -6.3998
Ni -3.1378 -0.3210 -0.6786
P -2.0768 4.1278 -6.7167
Ni -6.1670 -2.3411 -1.8210
Li -3.3498 6.1770 -4.5421
O -0.8402 2.8724 -1.8339
O -6.5434 2.5217 -5.9051
O -3.6711 0.7191 -2.3709
P -5.2358 5.7620 -6.3671
O -3.0204 2.6979 -3.7396
O -6.4379 -0.2281 -1.6817
Li -2.5386 0.6029 -4.1091
O -4.8800 4.8117 -5.1890
Ni -1.3604 3.9040 -3.5503
O -5.3900 2.3468 -3.1908
P -3.9522 2.2373 -2.5544
O -5.4306 5.0308 -7.7016
O -1.8823 4.8637 -5.3845
O -4.8184 0.4880 0.2372
O -1.4559 0.8704 -0.4751
O -3.2156 3.0386 -6.6916
O -8.1350 4.3024 -6.6328
Li -6.2197 5.7309 -3.8937
P -6.2618 0.5794 -0.3890
O -3.7781 3.0489 -1.2642



(5)
28
Lattice="-2.5928 1.6088 5.3870 -3.0671 -3.6261 -0.3933 6.6248 -6.3131 5.0740" Properties=species:S:1:pos:R:3 comment="PBE with a Hubbard U Li4Ni3SbP4O16, relaxed" crystal_system=monoclinic total_magnetization_mub_per_atom=0.18 formation_enthalpy_0k_ev_per_fu=-63.8 final_energy_ev_per_atom=-6.25 pbc="T T T"
P -0.1684 -5.7818 1.6457
O -2.2633 -3.5914 5.6640
O -1.7693 -2.9341 0.0247
P 2.2756 -3.1652 5.5983
Li -4.9264 -2.4902 3.6286
Li -0.2022 -3.7576 6.2761
O -2.8656 -2.5436 2.9381
O -0.7160 -4.5515 2.4493
O -1.5378 -0.9623 4.5320
Sb 4.6938 -4.6071 3.6351
Ni -2.4911 -4.4741 3.6949
O 0.2630 -5.7036 5.3877
Li 1.0320 -4.5234 3.7118
O 5.3068 -6.7731 4.5771
Ni 2.2495 -6.1930 6.4899
O 0.9894 -2.7038 4.8414
O 2.9096 -7.6396 5.0849
O 1.1610 -6.1913 2.4079
O 1.3392 -6.6652 8.3476
O 1.7543 -3.7565 6.9572
Ni 0.0447 -3.1274 0.9555
O 4.1646 -6.3616 7.4621
O -0.4977 -1.6076 2.3711
O 1.9154 -3.3212 1.9138
O 2.7988 -4.4046 4.7870
P -1.9071 -1.3377 3.0393
Li -3.6886 -3.2582 1.0570
P 4.3229 -7.9467 4.4540



(6)
40
Lattice="-2.2780 4.9608 6.6137 -1.9018 -3.8609 7.4920 5.5874 0.8332 6.5372" Properties=species:S:1:pos:R:3 comment="PBE with a Hubbard U Li6Ni3SnP6O24, relaxed" crystal_system=triclinic total_magnetization_mub_per_atom=0.15 formation_enthalpy_0k_ev_per_fu=-93.6 final_energy_ev_per_atom=-6.34 pbc="T T T"
O -0.5434 1.8897 11.9593
O 2.1856 -2.4689 12.4822
Li 0.3036 -1.5520 8.6268
Li 2.7759 1.7072 8.1361
Ni 1.1996 1.6809 17.6683
Li 0.6195 1.0140 10.5497
O -1.1549 1.5385 6.4756
O 2.2511 1.7774 11.7747
O 4.2981 2.0848 10.4728
O 0.8271 -0.4551 12.0726
O -1.8948 3.5225 10.7072
P -2.2122 -0.5967 8.8564
Sn 0.2255 0.2854 3.0117
O -0.0815 -2.5803 11.2382
P 3.5677 2.5902 11.7570
P 0.7177 -1.9626 12.4187
O -0.7626 4.3465 8.2387
P -1.7944 2.7684 12.0777
O 1.0253 2.9934 14.2611
O -0.5169 0.4603 14.4610
Ni 0.9202 1.2370 13.2997
O 1.9958 1.5697 6.2832
O 0.7194 2.3769 8.5393
O -3.0636 1.9102 12.3319
Li 1.3759 1.8226 20.3952
O 1.8819 -0.0617 8.6730
P 3.2061 -0.9035 8.7047
O 0.5104 -1.2072 6.6455
Li -1.3480 2.2136 8.3670
P 0.7745 3.9213 8.2926
O 1.5456 4.5087 9.4639
O -0.8381 0.1708 8.8084
O 2.6082 0.2969 14.0705
Ni 0.5001 0.6974 7.2704
O 4.3480 0.1776 8.3769
O 3.2846 -1.4356 10.1439
O 2.6157 0.7827 16.5766
O 3.2848 4.1023 11.6807
Li 2.9143 -0.5361 12.1311
O -1.7686 -2.1296 8.9909



(7)
40
Lattice="8.4295 0.0000 0.0000 3.8769 7.5716 0.0000 3.8698 2.4093 7.1834" Properties=species:S:1:pos:R:3 comment="PBE with a Hubbard U Li4Ni5SnP6O24, relaxed" crystal_system=triclinic total_magnetization_mub_per_atom=0.25 formation_enthalpy_0k_ev_per_fu=-91.0 final_energy_ev_per_atom=-6.34 pbc="T T T"
O 7.6485 2.9165 3.1970
Ni 8.1671 5.0026 3.5965
O 9.1898 4.9583 5.4591
O 11.1298 7.9373 3.4776
P 9.3588 4.1713 6.7898
Ni 13.8377 8.5166 6.1250
Li 6.4077 2.8247 5.0518
P 7.9672 8.5118 4.0121
O 4.1105 4.6940 2.3160
O 7.8758 3.7267 7.0808
O 6.9545 5.0343 1.7158
P 6.8431 5.7693 0.3162
Sn 2.3939 1.4914 1.0855
O 12.1667 5.5397 5.0452
O 6.9203 8.3944 2.8599
Li 7.9539 3.1097 1.1067
O 6.0364 2.6269 0.7459
P 5.1726 5.2954 5.4017
O 8.4904 7.0492 4.1115
Li 7.9445 6.9151 6.1491
O 10.2934 2.9573 6.6463
O 6.0815 4.7583 4.2196
O 7.3678 8.8189 5.4186
O 11.1613 5.8526 0.6598
Ni 10.4334 6.4601 4.6400
O 10.0972 5.2881 2.9337
P 8.2717 1.4543 3.2854
O 5.9165 6.5108 5.9355
O 12.0885 8.5858 7.0753
Ni 16.0555 9.9445 7.1639
Ni 5.7063 3.5024 2.5232
O 5.8445 7.0149 0.6429
Li 5.3966 6.1924 2.6371
P 11.0917 4.8497 1.8455
O 9.3772 1.5006 4.2984
O 5.1568 4.0547 6.4524
O 5.0978 2.0481 3.7454
O 8.8228 1.2369 1.7554
O 9.9346 7.3999 6.4453
O 10.5023 3.4680 1.3588



(8)
28
Lattice="6.7420 0.0000 0.0000 0.0000 4.8454 0.0000 0.0000 0.2118 10.9805" Properties=species:S:1:pos:R:3 comment="PBE with a Hubbard U Li4NiSn3P4O16, relaxed" crystal_system=monoclinic total_magnetization_mub_per_atom=0.07 formation_enthalpy_0k_ev_per_fu=-66.3 final_energy_ev_per_atom=-6.39 pbc="T T T"
O 1.2156 3.7343 1.8343
O 3.3710 3.5944 10.3278
Sn 3.3710 2.6338 2.3816
O 5.5085 3.9366 6.9165
O 0.0000 1.2395 6.1632
O 4.6215 1.5240 9.3660
Ni 0.0000 0.1680 3.0007
O 3.3710 1.2574 5.9317
O 0.0000 3.7128 10.6321
Li 1.7704 4.7658 0.1018
Li 5.0599 2.5236 5.3812
O 5.5264 3.7343 1.8343
P 3.3710 2.0705 10.1433
O 2.1206 1.5240 9.3660
O 4.6352 1.0459 3.7674
O 1.2335 3.9366 6.9165
P 0.0000 3.0208 1.1406
O 0.0000 3.9338 4.7160
O 3.3710 3.8299 4.7265
Sn 0.0000 2.4669 8.5718
Sn 3.3710 4.7665 7.7390
Li 1.6821 2.5236 5.3812
O 3.3710 1.1289 0.5530
P 0.0000 4.5493 6.1493
Li 4.9716 4.7658 0.1018
P 3.3710 0.5104 4.5318
O 2.1068 1.0459 3.7674
O 0.0000 1.4908 1.3031



(9)
56
Lattice="-1.4228 -2.8639 3.5795 8.8621 -7.8937 -3.0146 10.8956 1.0165 5.1367" Properties=species:S:1:pos:R:3 comment="PBE with a Hubbard U Li4Ni3SnP4O16, relaxed" total_magnetization_mub_per_atom=0.14 formation_enthalpy_0k_ev_per_fu=-65.6 final_energy_ev_per_atom=-6.31 pbc="T T T"
O 15.6925 -7.7929 4.4825
O 7.6923 -5.8188 -0.3255
Li 8.8092 -7.8147 -2.8934
Sn 6.3541 -4.5680 5.2027
O 8.1408 -4.0103 1.2953
Ni 14.1729 -6.9248 3.3056
O 10.7951 -3.9949 5.6290
O 2.5280 -1.8482 1.5323
P 17.2313 -7.8915 4.1247
Li 14.2561 -7.3063 -0.3245
O 7.8109 -6.7038 2.5299
O 17.6672 -6.9174 3.0138
O 10.2932 -6.0407 4.2487
P 0.9821 -1.7196 1.8094
O 3.2059 -2.0066 4.2569
O 13.1378 -5.3083 2.2445
O 13.2586 -6.1953 5.0984
O 12.2191 -7.4260 0.4452
O 15.0405 -7.5868 1.6005
Li 14.6422 -4.5241 5.3047
O 4.8460 -6.5492 1.6810
O 10.2440 -8.3003 1.9146
O 12.4518 -8.0981 2.9589
P 11.7831 -8.4002 1.5559
P 4.2473 -5.5967 2.7621
O 8.6547 -1.4981 6.8270
P 14.2265 -4.2555 2.6672
Ni 4.1275 -2.8034 2.4644
Ni 9.5757 -2.2948 5.0336
Ni 12.0033 -5.2940 0.4733
O 10.5907 -2.9207 3.0059
O 7.0033 -8.6041 0.3925
O 3.1666 -4.7057 2.0322
O 11.1432 -1.0439 5.5936
O 9.9440 -5.6038 0.7413
Li 11.9856 -4.7715 4.0520
O 5.3468 -4.5027 3.0605
Ni 6.5574 -5.8013 -2.0940
Li 16.9615 -7.0533 0.9512
O 15.3913 -5.0930 3.3104
P 8.7797 -4.7647 0.0981
O 5.1436 -3.4289 0.4380
Li 9.1940 -5.0320 2.7366
O 5.9624 -2.0851 5.5448
O 13.5873 -3.4993 3.8634
Li 11.5138 -7.5624 -1.6186
P 9.6952 -5.0885 5.3305
O 5.6955 -1.5520 3.0253
Sn 11.8019 -4.0598 7.7702
Li 6.5380 -5.2795 1.4842
O 0.5148 -2.5926 2.9763
P 6.4297 -1.2114 4.3779
O 8.6147 -4.1965 4.6012
O 7.9756 -1.3400 4.1006
Ni 8.7258 -7.4321 0.7354
O 9.5934 -8.0947 -0.9689